# Li9Mn7O16 (PBE+U, optimized geometry)
# relative energy among the computed polymorphs: 0.002 eV/atom
# DFT formation energy: -2143 meV/atom
# symmetry: C2/m, No. 12
# total DFT energy (no corrections): -206.39 eV per formula unit
data_Li9Mn7O16
_chemical_formula_sum 'Li9 Mn7 O16'
_cell_length_a 7.804
_cell_length_b 7.804
_cell_length_c 5.340
_cell_angle_alpha 105.49
_cell_angle_beta 105.49
_cell_angle_gamma 94.99
_symmetry_space_group_name_H-M 'P 1'
_symmetry_Int_Tables_number 1
loop_
_symmetry_equiv_pos_as_xyz
'x,y,z'
loop_
_atom_site_label
_atom_site_type_symbol
_atom_site_fract_x
_atom_site_fract_y
_atom_site_fract_z
Li1 Li 0.000 0.000 0.000
Li2 Li 0.000 0.500 0.500
Li3 Li 0.128 0.373 0.993
Li4 Li 0.242 0.242 0.491
Li5 Li 0.373 0.128 0.993
Li6 Li 0.500 0.000 0.500
Li7 Li 0.627 0.872 0.007
Li8 Li 0.758 0.758 0.509
Li9 Li 0.872 0.627 0.007
Mn1 Mn 0.124 0.876 0.500
Mn2 Mn 0.246 0.754 0.000
Mn3 Mn 0.374 0.626 0.500
Mn4 Mn 0.500 0.500 0.000
Mn5 Mn 0.626 0.374 0.500
Mn6 Mn 0.754 0.246 0.000
Mn7 Mn 0.876 0.124 0.500
O1 O 0.026 0.765 0.733
O2 O 0.116 0.116 0.719
O3 O 0.132 0.634 0.274
O4 O 0.235 0.974 0.267
O5 O 0.259 0.509 0.776
O6 O 0.366 0.868 0.726
O7 O 0.379 0.379 0.277
O8 O 0.491 0.741 0.224
O9 O 0.509 0.259 0.776
O10 O 0.621 0.621 0.723
O11 O 0.634 0.132 0.274
O12 O 0.741 0.491 0.224
O13 O 0.765 0.026 0.733
O14 O 0.868 0.366 0.726
O15 O 0.884 0.884 0.281
O16 O 0.974 0.235 0.267

# MgCo2Cu2O8 (PBE+U, optimized geometry)
# DFT formation energy: -1171 meV/atom
# symmetry: P2_1/c, No. 14
# total DFT energy (no corrections): -70.05 eV per formula unit
data_MgCo2Cu2O8
_chemical_formula_sum 'Mg4 Co8 Cu8 O32'
_cell_length_a 6.455
_cell_length_b 8.303
_cell_length_c 11.713
_cell_angle_alpha 90.00
_cell_angle_beta 91.05
_cell_angle_gamma 90.00
_symmetry_space_group_name_H-M 'P 1'
_symmetry_Int_Tables_number 1
loop_
_symmetry_equiv_pos_as_xyz
'x,y,z'
loop_
_atom_site_label
_atom_site_type_symbol
_atom_site_fract_x
_atom_site_fract_y
_atom_site_fract_z
Mg1 Mg 0.115 0.159 0.047
Mg2 Mg 0.115 0.341 0.547
Mg3 Mg 0.885 0.659 0.453
Mg4 Mg 0.885 0.841 0.953
Co1 Co 0.104 0.035 0.343
Co2 Co 0.104 0.465 0.843
Co3 Co 0.391 0.591 0.367
Co4 Co 0.391 0.909 0.867
Co5 Co 0.609 0.091 0.133
Co6 Co 0.609 0.409 0.633
Co7 Co 0.896 0.535 0.157
Co8 Co 0.896 0.965 0.657
Cu1 Cu 0.242 0.689 0.622
Cu2 Cu 0.242 0.811 0.122
Cu3 Cu 0.377 0.060 0.632
Cu4 Cu 0.377 0.440 0.132
Cu5 Cu 0.623 0.560 0.868
Cu6 Cu 0.623 0.940 0.368
Cu7 Cu 0.758 0.189 0.878
Cu8 Cu 0.758 0.311 0.378
O1 O 0.029 0.229 0.395
O2 O 0.029 0.271 0.895
O3 O 0.094 0.108 0.621
O4 O 0.094 0.392 0.121
O5 O 0.127 0.020 0.199
O6 O 0.127 0.480 0.699
O7 O 0.188 0.576 0.477
O8 O 0.188 0.924 0.977
O9 O 0.318 0.630 0.217
O10 O 0.318 0.870 0.717
O11 O 0.347 0.509 0.900
O12 O 0.347 0.991 0.400
O13 O 0.414 0.229 0.083
O14 O 0.414 0.271 0.583
O15 O 0.492 0.102 0.859
O16 O 0.492 0.398 0.359
O17 O 0.508 0.602 0.641
O18 O 0.508 0.898 0.141
O19 O 0.586 0.729 0.417
O20 O 0.586 0.771 0.917
O21 O 0.653 0.009 0.600
O22 O 0.653 0.491 0.100
O23 O 0.682 0.130 0.283
O24 O 0.682 0.370 0.783
O25 O 0.812 0.076 0.023
O26 O 0.812 0.424 0.523
O27 O 0.873 0.520 0.301
O28 O 0.873 0.980 0.801
O29 O 0.906 0.608 0.879
O30 O 0.906 0.892 0.379
O31 O 0.971 0.729 0.105
O32 O 0.971 0.771 0.605

# MoP4O13 (PBE+U, optimized geometry)
# relative energy among the computed polymorphs: 0.010 eV/atom
# DFT formation energy: -2296 meV/atom
# symmetry: P-1, No. 2
# total DFT energy (no corrections): -126.03 eV per formula unit
data_MoP4O13
_chemical_formula_sum 'Mo2 P8 O26'
_cell_length_a 5.130
_cell_length_b 7.972
_cell_length_c 13.859
_cell_angle_alpha 80.34
_cell_angle_beta 82.97
_cell_angle_gamma 81.88
_symmetry_space_group_name_H-M 'P 1'
_symmetry_Int_Tables_number 1
loop_
_symmetry_equiv_pos_as_xyz
'x,y,z'
loop_
_atom_site_label
_atom_site_type_symbol
_atom_site_fract_x
_atom_site_fract_y
_atom_site_fract_z
Mo1 Mo 0.067 0.443 0.241
Mo2 Mo 0.933 0.557 0.759
P1 P 0.165 0.931 0.679
P2 P 0.216 0.841 0.200
P3 P 0.362 0.724 0.864
P4 P 0.492 0.606 0.354
P5 P 0.508 0.394 0.646
P6 P 0.638 0.276 0.136
P7 P 0.784 0.159 0.800
P8 P 0.835 0.069 0.321
O1 O 0.001 0.900 0.287
O2 O 0.036 0.209 0.302
O3 O 0.098 0.677 0.180
O4 O 0.203 0.580 0.837
O5 O 0.210 0.470 0.661
O6 O 0.247 0.785 0.955
O7 O 0.279 0.974 0.118
O8 O 0.299 0.965 0.581
O9 O 0.332 0.467 0.323
O10 O 0.342 0.360 0.142
O11 O 0.362 0.862 0.764
O12 O 0.391 0.664 0.448
O13 O 0.468 0.756 0.258
O14 O 0.532 0.244 0.742
O15 O 0.609 0.336 0.552
O16 O 0.638 0.138 0.236
O17 O 0.658 0.640 0.858
O18 O 0.668 0.533 0.677
O19 O 0.701 0.035 0.419
O20 O 0.721 0.026 0.882
O21 O 0.753 0.215 0.045
O22 O 0.790 0.530 0.339
O23 O 0.797 0.420 0.163
O24 O 0.902 0.323 0.820
O25 O 0.964 0.791 0.698
O26 O 0.999 0.100 0.713

# Li2FeBO4 (PBE+U, optimized geometry)
# relative energy among the computed polymorphs: 0.009 eV/atom
# DFT formation energy: -2305 meV/atom
# symmetry: Pna2_1, No. 33
# total DFT energy (no corrections): -52.19 eV per formula unit
data_Li2FeBO4
_chemical_formula_sum 'Li8 Fe4 B4 O16'
_cell_length_a 10.216
_cell_length_b 4.889
_cell_length_c 6.194
_cell_angle_alpha 90.00
_cell_angle_beta 90.00
_cell_angle_gamma 90.00
_symmetry_space_group_name_H-M 'P 1'
_symmetry_Int_Tables_number 1
loop_
_symmetry_equiv_pos_as_xyz
'x,y,z'
loop_
_atom_site_label
_atom_site_type_symbol
_atom_site_fract_x
_atom_site_fract_y
_atom_site_fract_z
Li1 Li 0.079 0.212 0.000
Li2 Li 0.158 0.689 0.248
Li3 Li 0.342 0.189 0.748
Li4 Li 0.421 0.712 0.500
Li5 Li 0.579 0.288 0.000
Li6 Li 0.658 0.811 0.248
Li7 Li 0.842 0.311 0.748
Li8 Li 0.921 0.788 0.500
Fe1 Fe 0.162 0.686 0.752
Fe2 Fe 0.338 0.186 0.252
Fe3 Fe 0.662 0.814 0.752
Fe4 Fe 0.838 0.314 0.252
B1 B 0.091 0.183 0.498
B2 B 0.409 0.683 0.998
B3 B 0.591 0.317 0.498
B4 B 0.909 0.817 0.998
O1 O 0.052 0.752 0.993
O2 O 0.105 0.877 0.506
O3 O 0.153 0.299 0.699
O4 O 0.158 0.287 0.299
O5 O 0.342 0.787 0.799
O6 O 0.347 0.799 0.199
O7 O 0.395 0.377 0.006
O8 O 0.448 0.252 0.493
O9 O 0.552 0.748 0.993
O10 O 0.605 0.623 0.506
O11 O 0.653 0.201 0.699
O12 O 0.658 0.213 0.299
O13 O 0.842 0.713 0.799
O14 O 0.847 0.701 0.199
O15 O 0.895 0.123 0.006
O16 O 0.948 0.248 0.493

# Li3MnOF4 (PBE+U, optimized geometry)
# relative energy among the computed polymorphs: 0.003 eV/atom
# largest piezoelectric modulus: 1.22 C/m2
# DFT formation energy: -2829 meV/atom
# symmetry: Cm, No. 8
# total DFT energy (no corrections): -48.76 eV per formula unit
data_Li3MnOF4
_chemical_formula_sum 'Li3 Mn1 O1 F4'
_cell_length_a 5.498
_cell_length_b 5.498
_cell_length_c 7.263
_cell_angle_alpha 131.34
_cell_angle_beta 131.34
_cell_angle_gamma 39.71
_symmetry_space_group_name_H-M 'P 1'
_symmetry_Int_Tables_number 1
loop_
_symmetry_equiv_pos_as_xyz
'x,y,z'
loop_
_atom_site_label
_atom_site_type_symbol
_atom_site_fract_x
_atom_site_fract_y
_atom_site_fract_z
Li1 Li 0.000 0.000 0.000
Li2 Li 0.282 0.282 0.967
Li3 Li 0.632 0.632 0.573
Mn1 Mn 0.809 0.809 0.327
O1 O 0.295 0.295 0.257
F1 F 0.075 0.075 0.553
F2 F 0.542 0.542 0.109
F3 F 0.781 0.781 0.953
F4 F 0.847 0.847 0.642

# MgMn2Zn2O12 (PBE+U, optimized geometry)
# DFT formation energy: -1053 meV/atom
# symmetry: C2, No. 5
# total DFT energy (no corrections): -94.45 eV per formula unit
data_MgMn2Zn2O12
_chemical_formula_sum 'Mg1 Mn2 Zn2 O12'
_cell_length_a 8.257
_cell_length_b 8.257
_cell_length_c 5.158
_cell_angle_alpha 95.36
_cell_angle_beta 95.36
_cell_angle_gamma 43.99
_symmetry_space_group_name_H-M 'P 1'
_symmetry_Int_Tables_number 1
loop_
_symmetry_equiv_pos_as_xyz
'x,y,z'
loop_
_atom_site_label
_atom_site_type_symbol
_atom_site_fract_x
_atom_site_fract_y
_atom_site_fract_z
Mg1 Mg 0.000 0.000 0.000
Mn1 Mn 0.490 0.510 0.000
Mn2 Mn 0.717 0.283 0.500
Zn1 Zn 0.190 0.600 0.413
Zn2 Zn 0.400 0.810 0.587
O1 O 0.024 0.472 0.465
O2 O 0.057 0.025 0.431
O3 O 0.180 0.663 0.073
O4 O 0.337 0.820 0.927
O5 O 0.446 0.413 0.658
O6 O 0.508 0.036 0.311
O7 O 0.528 0.976 0.535
O8 O 0.587 0.554 0.342
O9 O 0.663 0.215 0.159
O10 O 0.785 0.337 0.841
O11 O 0.964 0.492 0.689
O12 O 0.975 0.943 0.569

# Mn4O7F (PBE+U, optimized geometry)
# relative energy among the computed polymorphs: 0.003 eV/atom
# DFT formation energy: -1888 meV/atom
# symmetry: P2_1, No. 4
# total DFT energy (no corrections): -83.91 eV per formula unit
data_Mn4O7F
_chemical_formula_sum 'Mn8 O14 F2'
_cell_length_a 7.000
_cell_length_b 4.963
_cell_length_c 7.179
_cell_angle_alpha 90.00
_cell_angle_beta 101.76
_cell_angle_gamma 90.00
_symmetry_space_group_name_H-M 'P 1'
_symmetry_Int_Tables_number 1
loop_
_symmetry_equiv_pos_as_xyz
'x,y,z'
loop_
_atom_site_label
_atom_site_type_symbol
_atom_site_fract_x
_atom_site_fract_y
_atom_site_fract_z
Mn1 Mn 0.172 0.000 0.067
Mn2 Mn 0.176 0.033 0.570
Mn3 Mn 0.324 0.536 0.436
Mn4 Mn 0.328 0.517 0.913
Mn5 Mn 0.672 0.017 0.087
Mn6 Mn 0.676 0.036 0.564
Mn7 Mn 0.824 0.533 0.430
Mn8 Mn 0.828 0.500 0.933
O1 O 0.077 0.677 0.940
O2 O 0.078 0.361 0.439
O3 O 0.190 0.186 0.828
O4 O 0.191 0.855 0.329
O5 O 0.310 0.707 0.666
O6 O 0.421 0.838 0.058
O7 O 0.423 0.206 0.565
O8 O 0.577 0.706 0.435
O9 O 0.579 0.338 0.942
O10 O 0.690 0.207 0.334
O11 O 0.809 0.355 0.671
O12 O 0.810 0.686 0.172
O13 O 0.922 0.861 0.561
O14 O 0.923 0.177 0.060
F1 F 0.310 0.341 0.184
F2 F 0.690 0.841 0.816

# Na5LiFe2P2C2O14 (PBE+U, optimized geometry)
# relative energy among the computed polymorphs: 0.001 eV/atom
# DFT formation energy: -2287 meV/atom
# symmetry: P1, No. 1
# total DFT energy (no corrections): -169.36 eV per formula unit
data_Na5LiFe2P2C2O14
_chemical_formula_sum 'Na5 Li1 Fe2 P2 C2 O14'
_cell_length_a 5.218
_cell_length_b 6.638
_cell_length_c 8.958
_cell_angle_alpha 89.43
_cell_angle_beta 88.91
_cell_angle_gamma 89.85
_symmetry_space_group_name_H-M 'P 1'
_symmetry_Int_Tables_number 1
loop_
_symmetry_equiv_pos_as_xyz
'x,y,z'
loop_
_atom_site_label
_atom_site_type_symbol
_atom_site_fract_x
_atom_site_fract_y
_atom_site_fract_z
Na1 Na 0.000 0.000 0.000
Na2 Na 0.001 0.506 0.000
Na3 Na 0.014 0.241 0.346
Na4 Na 0.487 0.761 0.182
Na5 Na 0.502 0.503 0.523
Li1 Li 0.480 0.027 0.548
Fe1 Fe 0.035 0.758 0.612
Fe2 Fe 0.470 0.252 0.908
P1 P 0.552 0.758 0.843
P2 P 0.961 0.250 0.674
C1 C 0.524 0.244 0.209
C2 C 0.972 0.755 0.321
O1 O 0.021 0.444 0.582
O2 O 0.074 0.072 0.581
O3 O 0.082 0.256 0.830
O4 O 0.198 0.748 0.381
O5 O 0.303 0.250 0.142
O6 O 0.428 0.771 0.688
O7 O 0.467 0.565 0.932
O8 O 0.472 0.940 0.944
O9 O 0.534 0.233 0.354
O10 O 0.663 0.227 0.692
O11 O 0.733 0.252 0.127
O12 O 0.770 0.767 0.408
O13 O 0.850 0.756 0.824
O14 O 0.950 0.750 0.177

# Li6V3P8O29 (PBE+U, optimized geometry)
# relative energy among the computed polymorphs: 0.001 eV/atom
# DFT formation energy: -2661 meV/atom
# symmetry: P1, No. 1
# total DFT energy (no corrections): -322.90 eV per formula unit
data_Li6V3P8O29
_chemical_formula_sum 'Li12 V6 P16 O58'
_cell_length_a 9.802
_cell_length_b 9.858
_cell_length_c 13.999
_cell_angle_alpha 89.94
_cell_angle_beta 89.50
_cell_angle_gamma 60.22
_symmetry_space_group_name_H-M 'P 1'
_symmetry_Int_Tables_number 1
loop_
_symmetry_equiv_pos_as_xyz
'x,y,z'
loop_
_atom_site_label
_atom_site_type_symbol
_atom_site_fract_x
_atom_site_fract_y
_atom_site_fract_z
Li1 Li 0.000 0.000 0.000
Li2 Li 0.000 0.416 0.494
Li3 Li 0.136 0.861 0.495
Li4 Li 0.138 0.414 0.001
Li5 Li 0.248 0.127 0.430
Li6 Li 0.321 0.773 0.876
Li7 Li 0.459 0.184 0.875
Li8 Li 0.461 0.769 0.374
Li9 Li 0.548 0.866 0.995
Li10 Li 0.571 0.411 0.545
Li11 Li 0.887 0.766 0.322
Li12 Li 0.913 0.318 0.880
V1 V 0.226 0.660 0.688
V2 V 0.235 0.521 0.186
V3 V 0.662 0.089 0.681
V4 V 0.665 0.656 0.186
V5 V 0.795 0.096 0.192
V6 V 0.797 0.526 0.684
P1 P 0.005 0.409 0.278
P2 P 0.139 0.864 0.277
P3 P 0.144 0.410 0.781
P4 P 0.317 0.774 0.093
P5 P 0.319 0.317 0.596
P6 P 0.457 0.773 0.593
P7 P 0.466 0.175 0.094
P8 P 0.536 0.006 0.280
P9 P 0.550 0.860 0.775
P10 P 0.562 0.426 0.806
P11 P 0.564 0.427 0.308
P12 P 0.896 0.758 0.563
P13 P 0.899 0.758 0.065
P14 P 0.910 0.323 0.096
P15 P 0.923 0.178 0.593
P16 P 0.993 0.009 0.778
O1 O 0.015 0.104 0.693
O2 O 0.015 0.324 0.369
O3 O 0.020 0.304 0.187
O4 O 0.026 0.080 0.513
O5 O 0.044 0.762 0.600
O6 O 0.047 0.604 0.101
O7 O 0.121 0.718 0.265
O8 O 0.133 0.569 0.757
O9 O 0.141 0.843 0.777
O10 O 0.148 0.435 0.268
O11 O 0.226 0.307 0.515
O12 O 0.227 0.851 0.004
O13 O 0.228 0.882 0.185
O14 O 0.229 0.860 0.365
O15 O 0.231 0.341 0.872
O16 O 0.241 0.297 0.694
O17 O 0.309 0.751 0.600
O18 O 0.319 0.340 0.095
O19 O 0.324 0.617 0.113
O20 O 0.331 0.467 0.604
O21 O 0.413 0.581 0.769
O22 O 0.420 0.427 0.265
O23 O 0.434 0.095 0.362
O24 O 0.440 0.878 0.685
O25 O 0.444 0.082 0.181
O26 O 0.450 0.855 0.502
O27 O 0.471 0.849 0.865
O28 O 0.478 0.090 0.003
O29 O 0.482 0.756 0.092
O30 O 0.489 0.177 0.598
O31 O 0.558 0.280 0.766
O32 O 0.560 0.440 0.415
O33 O 0.562 0.011 0.774
O34 O 0.563 0.837 0.277
O35 O 0.564 0.580 0.268
O36 O 0.572 0.427 0.912
O37 O 0.604 0.609 0.605
O38 O 0.616 0.183 0.114
O39 O 0.701 0.992 0.270
O40 O 0.711 0.713 0.758
O41 O 0.713 0.426 0.760
O42 O 0.714 0.282 0.268
O43 O 0.748 0.757 0.110
O44 O 0.748 0.899 0.605
O45 O 0.750 0.469 0.112
O46 O 0.757 0.194 0.602
O47 O 0.844 0.000 0.756
O48 O 0.855 0.572 0.268
O49 O 0.889 0.762 0.959
O50 O 0.898 0.172 0.098
O51 O 0.900 0.345 0.592
O52 O 0.900 0.603 0.602
O53 O 0.901 0.749 0.456
O54 O 0.901 0.905 0.107
O55 O 0.973 0.009 0.275
O56 O 0.980 0.093 0.871
O57 O 0.980 0.426 0.779
O58 O 0.991 0.334 0.007